# Ho3Si4 (PBE, optimized geometry)
data_Ho3Si4
_symmetry_space_group_name_H-M 'C 1 m 1'
_symmetry_Int_Tables_number 8
_symmetry_space_group_name_Hall 'C -2y'
_cell_length_a 72.590
_cell_length_b 4.133
_cell_length_c 3.869
_cell_angle_alpha 90.00
_cell_angle_beta 90.40
_cell_angle_gamma 90.00
loop_
_atom_site_label
_atom_site_fract_x
_atom_site_fract_y
_atom_site_fract_z
Ho1 0.000 0.000 0.000
Ho2 0.032 0.500 0.499
Ho3 0.077 0.500 0.999
Ho4 0.123 0.500 0.500
Ho5 0.168 0.500 0.001
Ho6 0.199 0.000 0.500
Ho7 0.243 0.000 0.016
Ho8 0.290 0.000 0.496
Ho9 0.334 0.000 0.000
Ho10 0.366 0.500 0.500
Ho11 0.410 0.500 0.015
Ho12 0.457 0.500 0.496
Si1 0.040 0.000 0.999
Si2 0.060 0.000 0.501
Si3 0.091 0.000 0.499
Si4 0.108 0.000 0.001
Si5 0.140 0.000 0.998
Si6 0.160 0.000 0.500
Si7 0.209 0.500 0.001
Si8 0.229 0.500 0.508
Si9 0.261 0.500 0.553
Si10 0.303 0.500 0.997
Si11 0.324 0.500 0.500
Si12 0.375 0.000 0.000
Si13 0.396 0.000 0.508
Si14 0.428 0.000 0.554
Si15 0.470 0.000 0.997
Si16 0.490 0.000 0.500
# * volume: 20.73 Å³/atom
# * energy of formation: -129 kJ/mol of formula units